(1)
KLiTi2P2O10, optimized geometry, DFT PBE; calculated volume = 13.86 Å³ per atom; energy with MP2020 corrections = -509.81 eV for the cell shown; symmetry = Pna2_1, No. 33; magnetic moment = 0.00 μB per formula unit; crystal system = orthorhombic
1.0
6.5086 0.0000 0.0000
0.0000 10.6161 0.0000
0.0000 0.0000 12.8356
O Li Ti P K
40 4 8 8 4
direct
0.9763 0.8819 0.9937
0.0416 0.1400 0.7756
0.0444 0.1224 0.2377
0.9544 0.8874 0.7740
0.3005 0.2488 0.0978
0.5384 0.9004 0.7391
0.5416 0.6400 0.7244
0.5456 0.8874 0.2740
0.3098 0.9862 0.8856
0.9616 0.9004 0.2391
0.3118 0.5401 0.1158
0.5247 0.6390 0.5024
0.5237 0.8819 0.4937
0.0237 0.3819 0.0063
0.4753 0.1390 0.4976
0.8118 0.0401 0.3842
0.1902 0.9862 0.3856
0.9556 0.6224 0.7623
0.1995 0.2488 0.5978
0.6995 0.7488 0.9022
0.9753 0.6390 0.0024
0.0247 0.1390 0.9976
0.2031 0.2739 0.4033
0.9584 0.6400 0.2244
0.4584 0.1400 0.2756
0.7031 0.7739 0.0967
0.1882 0.5401 0.6158
0.6902 0.4862 0.1144
0.8005 0.7488 0.4022
0.6882 0.0401 0.8842
0.4616 0.4004 0.2609
0.7969 0.7739 0.5967
0.0456 0.3874 0.2260
0.4556 0.1224 0.7377
0.2969 0.2739 0.9033
0.4544 0.3874 0.7260
0.8098 0.4862 0.6144
0.0384 0.4004 0.7609
0.4763 0.3819 0.5063
0.5444 0.6224 0.2623
0.5699 0.4939 0.3937
0.4301 0.9939 0.6063
0.9301 0.4939 0.8937
0.0699 0.9939 0.1063
0.0017 0.0129 0.8663
0.5017 0.5129 0.6337
0.9983 0.5129 0.1337
0.7531 0.7639 0.7476
0.4983 0.0129 0.3663
0.2531 0.2639 0.7524
0.7469 0.7639 0.2476
0.2469 0.2639 0.2524
0.5013 0.5123 0.1834
0.1574 0.2612 0.0012
0.3426 0.2612 0.5012
0.0013 0.0123 0.3166
0.9987 0.5123 0.6834
0.6574 0.7612 0.4988
0.8426 0.7612 0.9988
0.4987 0.0123 0.8166
0.8643 0.0997 0.5913
0.1357 0.5997 0.4087
0.3643 0.5997 0.9087
0.6357 0.0997 0.0913

=====

(2)
BaMg2, optimized geometry, DFT PBE; calculated volume = 33.96 Å³ per atom; symmetry = P6_3/mmc, No. 194; crystal system = hexagonal; electronic total energy = -1.779 eV/atom
1.0
2.9081 4.0884 4.3891
-3.1792 2.5103 -5.2941
-8.9869 0.3967 5.5849
Mg Ba
8 4
direct
0.1614 0.8386 0.7500
0.3227 0.1614 0.2500
0.0000 0.0000 0.5000
0.8386 0.1614 0.2500
0.8386 0.6773 0.2500
0.1614 0.3227 0.7500
0.6773 0.8386 0.7500
0.0000 0.0000 0.0000
0.6667 0.3333 0.5569
0.6667 0.3333 0.9431
0.3333 0.6667 0.4431
0.3333 0.6667 0.0569

=====

(3)
Y3Lu, optimized geometry, DFT PBE; calculated volume = 32.20 Å³ per atom; symmetry = P6_3/mmc, No. 194; crystal system = hexagonal; electronic total energy = -5.975 eV/atom
1.0
3.6234 -6.2759 0.0000
3.6234 6.2759 0.0000
0.0000 0.0000 5.6640
Lu Y
2 6
direct
0.6667 0.3333 0.2500
0.3333 0.6667 0.7500
0.1678 0.3356 0.2500
0.1678 0.8322 0.2500
0.6644 0.8322 0.2500
0.3356 0.1678 0.7500
0.8322 0.1678 0.7500
0.8322 0.6644 0.7500

=====

(4)
Tb3SmNi4, optimized geometry, DFT PBE; calculated volume = 20.43 Å³ per atom; symmetry = Pmm2, No. 25; crystal system = orthorhombic; electronic total energy = -5.634 eV/atom
1.0
3.7495 0.0000 0.0000
0.0000 4.2713 0.0000
0.0000 0.0000 10.2052
Ni Tb Sm
4 3 1
direct
0.5000 0.5000 0.0726
0.5000 0.0000 0.9267
0.0000 0.0000 0.4273
0.0000 0.5000 0.5751
0.5000 0.0000 0.6392
0.0000 0.0000 0.1360
0.0000 0.5000 0.8618
0.5000 0.5000 0.3614

=====

(5)
Na11Ti10O21, optimized geometry, DFT PBE; calculated volume = 10.90 Å³ per atom; energy with MP2020 corrections = -626.14 eV for the cell shown; symmetry = P-1, No. 2; magnetic moment = 6.62 μB per formula unit; crystal system = triclinic
1.0
-0.9535 -3.5344 -4.3947
-4.7660 7.5676 -1.8692
15.2039 7.9771 -6.5280
Na O Ti
22 42 20
direct
0.1539 0.8552 0.1469
0.1469 0.5299 0.1436
0.8461 0.1448 0.8531
0.7102 0.2843 0.7137
0.7113 0.9522 0.7117
0.4303 0.9048 0.4285
0.5697 0.0952 0.5715
0.2861 0.3809 0.2853
0.8531 0.4701 0.8564
0.4284 0.9059 0.9288
0.1431 0.1918 0.1435
0.2898 0.7157 0.2863
0.4294 0.2384 0.4289
0.4290 0.5714 0.4287
0.5710 0.4286 0.5713
0.2887 0.0478 0.2883
0.0027 0.6581 0.0006
0.8569 0.8082 0.8565
0.5716 0.0941 0.0712
0.5706 0.7616 0.5711
0.7139 0.6191 0.7147
0.9973 0.3419 0.9994
0.0453 0.5069 0.7460
0.3356 0.5530 0.0346
0.9547 0.4931 0.2540
0.8989 0.9828 0.6042
0.3743 0.0650 0.6809
0.9605 0.1603 0.2516
0.1036 0.6850 0.3950
0.8964 0.3150 0.6050
0.5313 0.5912 0.8228
0.7091 0.7807 0.9694
0.6257 0.9350 0.3191
0.2436 0.5403 0.5372
0.2474 0.8752 0.5381
0.7559 0.7922 0.4622
0.2909 0.2193 0.0306
0.1068 0.3497 0.3942
0.1521 0.0365 0.8934
0.3068 0.8668 0.0398
0.6932 0.1332 0.9602
0.4687 0.4088 0.1772
0.5236 0.2553 0.8221
0.0395 0.8397 0.7484
0.7979 0.6318 0.1108
0.6109 0.6015 0.3192
0.3891 0.3985 0.6808
0.5121 0.9192 0.8118
0.2021 0.3682 0.8892
0.8479 0.9635 0.1066
0.0387 0.1735 0.7472
0.2441 0.2078 0.5378
0.6644 0.4470 0.9654
0.9613 0.8265 0.2528
0.7526 0.1248 0.4619
0.6186 0.2719 0.3205
0.1011 0.0172 0.3958
0.8932 0.6503 0.6058
0.4879 0.0808 0.1882
0.4764 0.7447 0.1779
0.7564 0.4597 0.4628
0.3814 0.7281 0.6795
0.8178 0.3246 0.1142
0.1822 0.6754 0.8858
0.7116 0.2827 0.2127
0.1395 0.5223 0.6404
0.8591 0.1456 0.3571
0.4378 0.2286 0.9329
0.5622 0.7714 0.0671
0.2850 0.3807 0.7857
0.8572 0.8058 0.3569
0.8605 0.4777 0.3596
0.0000 0.0000 0.5000
0.5580 0.4169 0.0695
0.7150 0.6193 0.2143
0.1428 0.1942 0.6431
0.2884 0.7173 0.7873
0.0024 0.6700 0.5023
0.1409 0.8544 0.6429
0.9976 0.3300 0.4977
0.4420 0.5831 0.9305
0.2757 0.0487 0.7911
0.7243 0.9513 0.2089
0.0000 0.0000 0.0000

=====

(6)
Ho3Mn3Ga2Ge, optimized geometry, DFT PBE; calculated volume = 19.46 Å³ per atom; symmetry = P-62m, No. 189; magnetic moment = 8.57 μB per formula unit; crystal system = hexagonal; electronic total energy = -6.096 eV/atom
1.0
-6.6851 2.3057 -0.5433
2.8850 -3.7830 -5.2600
-1.3090 -3.3899 1.7201
Mn Ge Ho Ga
3 1 3 2
direct
0.2308 0.2308 0.0000
0.7692 0.0000 0.0000
0.0000 0.7692 0.0000
0.0000 0.0000 0.5000
0.5880 0.5880 0.5000
0.4120 0.0000 0.5000
0.0000 0.4120 0.5000
0.3333 0.6667 0.0000
0.6667 0.3333 0.0000

=====

> Which formula does entry 3 have?

Y3Lu

=====

> Which formula does entry 6 have?

Ho3Mn3Ga2Ge

=====

> Look up the calculated volume of the second one.

33.96 Å³ per atom

=====

> Which of these has the lowest calculated volume?

Na11Ti10O21